1.
GGA+U Li3MnVP3O12, optimized geometry; VASP energy = -7.004 eV per atom
1.0
8.376 0.000 0.000
-0.123 8.786 0.000
-0.427 -0.248 12.621
O Li P V Mn
48 12 12 4 4
direct
0.522 0.893 0.909
0.431 0.602 0.335
0.381 0.201 0.686
0.249 0.402 0.213
0.738 0.398 0.495
0.744 0.099 0.204
0.578 0.404 0.667
0.866 0.822 0.906
0.251 0.056 0.480
0.250 0.592 0.504
0.932 0.907 0.336
0.259 0.600 0.702
0.990 0.423 0.106
0.731 0.398 0.296
0.001 0.417 0.392
0.475 0.901 0.590
0.873 0.289 0.690
0.247 0.943 0.982
0.721 0.899 0.716
0.752 0.064 0.013
0.530 0.104 0.411
0.617 0.199 0.816
0.660 0.326 0.087
0.070 0.904 0.166
0.279 0.095 0.288
0.428 0.409 0.836
0.334 0.680 0.910
0.625 0.807 0.315
0.263 0.403 0.015
0.747 0.603 0.789
0.130 0.298 0.812
0.935 0.092 0.836
0.737 0.597 0.986
0.140 0.820 0.591
0.854 0.174 0.403
0.071 0.090 0.666
0.007 0.574 0.894
0.649 0.680 0.586
0.988 0.578 0.606
0.576 0.598 0.165
0.757 0.945 0.528
0.871 0.702 0.188
0.126 0.702 0.310
0.268 0.907 0.790
0.387 0.806 0.187
0.346 0.320 0.413
0.136 0.178 0.097
0.480 0.107 0.093
0.498 0.399 0.252
0.002 0.894 0.755
0.000 0.000 0.997
0.997 0.990 0.502
0.504 0.496 0.998
0.988 0.105 0.242
0.709 0.809 0.046
0.715 0.180 0.551
0.501 0.608 0.745
0.510 0.505 0.497
0.287 0.190 0.955
0.289 0.814 0.452
0.001 0.201 0.750
0.158 0.643 0.604
0.660 0.149 0.101
0.503 0.708 0.250
0.342 0.856 0.896
0.351 0.144 0.398
0.158 0.357 0.108
0.001 0.796 0.251
0.841 0.644 0.893
0.653 0.854 0.604
0.831 0.353 0.394
0.502 0.297 0.752
0.285 0.999 0.143
0.285 0.003 0.641
0.212 0.498 0.357
0.716 0.002 0.857
0.789 0.496 0.647
0.716 0.999 0.356
0.210 0.500 0.854
0.789 0.501 0.146

---

2.
GGA+U Li3MnVP3O12, optimized geometry; VASP energy = -7.018 eV per atom
1.0
-0.665 -1.510 8.523
5.479 -5.791 3.660
11.043 7.949 6.544
P Li O Mn V
12 12 48 4 4
direct
0.476 0.280 0.475
0.594 0.663 0.877
0.488 0.269 0.760
0.019 0.238 0.021
0.097 0.164 0.375
0.521 0.739 0.525
0.514 0.722 0.236
0.977 0.779 0.979
0.987 0.777 0.262
0.012 0.217 0.735
0.908 0.819 0.629
0.404 0.326 0.125
0.270 0.579 0.634
0.687 0.663 0.051
0.176 0.070 0.180
0.212 0.851 0.828
0.713 0.349 0.329
0.773 0.080 0.130
0.186 0.159 0.553
0.295 0.439 0.318
0.360 0.201 0.977
0.687 0.557 0.688
0.812 0.926 0.821
0.864 0.699 0.481
0.004 0.215 0.473
0.532 0.203 0.198
0.971 0.280 0.302
0.048 0.727 0.880
0.384 0.687 0.511
0.126 0.813 0.996
0.894 0.133 0.808
0.431 0.819 0.617
0.883 0.188 0.005
0.021 0.749 0.537
0.761 0.699 0.855
0.959 0.277 0.635
0.265 0.198 0.353
0.864 0.009 0.626
0.933 0.313 0.113
0.361 0.513 0.130
0.495 0.884 0.264
0.505 0.707 0.977
0.566 0.872 0.442
0.625 0.315 0.492
0.394 0.641 0.309
0.202 0.067 0.728
0.201 0.079 0.035
0.234 0.294 0.147
0.703 0.569 0.229
0.741 0.785 0.647
0.425 0.147 0.553
0.523 0.093 0.738
0.299 0.450 0.465
0.702 0.579 0.540
0.534 0.216 0.860
0.022 0.602 0.239
0.987 0.386 0.758
0.797 0.922 0.258
0.650 0.470 0.872
0.069 0.370 0.938
0.467 0.777 0.805
0.297 0.414 0.757
0.552 0.222 0.377
0.798 0.948 0.974
0.030 0.724 0.363
0.145 0.972 0.375
0.029 0.705 0.706
0.460 0.786 0.136
0.108 0.859 0.189
0.931 0.640 0.056
0.505 0.265 0.030
0.607 0.352 0.687
0.289 0.779 0.075
0.030 0.534 0.822
0.476 0.962 0.676
0.787 0.278 0.573
0.533 0.038 0.320
0.218 0.717 0.425
0.972 0.462 0.179
0.715 0.217 0.924

---

3.
GGA+U LiMnVP4O14, optimized geometry; VASP energy = -7.263 eV per atom
1.0
-2.717 -1.375 6.472
7.030 -3.347 2.453
3.831 11.590 6.140
V P O Mn Li
3 12 42 3 3
direct
0.784 0.495 0.495
0.120 0.495 0.163
0.445 0.506 0.829
0.521 0.175 0.960
0.143 0.679 0.373
0.866 0.780 0.043
0.475 0.678 0.040
0.133 0.288 0.958
0.795 0.287 0.290
0.461 0.289 0.625
0.812 0.683 0.705
0.185 0.176 0.295
0.850 0.178 0.628
0.200 0.782 0.709
0.533 0.782 0.375
0.134 0.931 0.771
0.628 0.038 0.902
0.630 0.151 0.619
0.965 0.150 0.285
0.538 0.175 0.070
0.951 0.039 0.568
0.574 0.344 0.912
0.695 0.687 0.417
0.301 0.151 0.949
0.716 0.537 0.765
0.633 0.203 0.257
0.374 0.535 0.098
0.409 0.844 0.079
0.755 0.337 0.400
0.208 0.172 0.404
0.361 0.683 0.747
0.042 0.535 0.430
0.750 0.848 0.742
0.810 0.932 0.104
0.536 0.439 0.562
0.298 0.203 0.593
0.968 0.211 0.921
0.901 0.348 0.582
0.257 0.829 0.600
0.478 0.933 0.438
0.589 0.826 0.266
0.032 0.650 0.717
0.799 0.670 0.593
0.090 0.333 0.068
0.077 0.845 0.414
0.284 0.038 0.233
0.871 0.439 0.228
0.926 0.820 0.934
0.363 0.653 0.386
0.026 0.686 0.086
0.234 0.348 0.251
0.424 0.342 0.734
0.466 0.662 0.928
0.198 0.442 0.894
0.134 0.673 0.261
0.873 0.177 0.737
0.695 0.652 0.053
0.228 0.007 0.507
0.560 0.007 0.172
0.885 0.993 0.837
0.828 0.863 0.500
0.840 0.358 0.832
0.162 0.864 0.166